{
  "formula": "LiFeHSO5",
  "functional": "r²SCAN",
  "state": "optimized geometry",
  "lattice": [[9.5121, 0.0000, 0.0000], [0.0000, 5.4623, 0.0000], [-2.4354, 0.0000, 6.9334]],
  "species": ["Li", "Li", "Li", "Li", "Fe", "Fe", "Fe", "Fe", "H", "H", "H", "H", "S", "S", "S", "S", "O", "O", "O", "O", "O", "O", "O", "O", "O", "O", "O", "O", "O", "O", "O", "O", "O", "O", "O", "O"],
  "frac_coords": [[0.0811, 0.0741, 0.3192], [0.0811, 0.4259, 0.8192], [0.9189, 0.5741, 0.1808], [0.9189, 0.9259, 0.6808], [0.4448, 0.2371, 0.3718], [0.4448, 0.2629, 0.8718], [0.5552, 0.7371, 0.1282], [0.5552, 0.7629, 0.6282], [0.3273, 0.0035, 0.5925], [0.3273, 0.4965, 0.0925], [0.6727, 0.5035, 0.9075], [0.6727, 0.9965, 0.4075], [0.2090, 0.5677, 0.5104], [0.2090, 0.9323, 0.0104], [0.7910, 0.0677, 0.9896], [0.7910, 0.4323, 0.4896], [0.0942, 0.0733, 0.8641], [0.0942, 0.4267, 0.3641], [0.1593, 0.6789, 0.0148], [0.1593, 0.8211, 0.5148], [0.2381, 0.0489, 0.2012], [0.2381, 0.4511, 0.7012], [0.3502, 0.5647, 0.4630], [0.3502, 0.9353, 0.9630], [0.4270, 0.0757, 0.6258], [0.4270, 0.4243, 0.1258], [0.5730, 0.5757, 0.8742], [0.5730, 0.9243, 0.3742], [0.6498, 0.0647, 0.0370], [0.6498, 0.4353, 0.5370], [0.7619, 0.5489, 0.2988], [0.7619, 0.9511, 0.7988], [0.8407, 0.1789, 0.4852], [0.8407, 0.3211, 0.9852], [0.9058, 0.5733, 0.6359], [0.9058, 0.9267, 0.1359]],
  "e_tot_ev_per_atom": -8.1008,
  "mass_density_kg_m3": 3242,
  "delta_e_f_ev_per_atom": -1.639
}